--- one ---
Li3MnF5: optimized geometry, PBE+U.

Structure (POSCAR):
```
Li3MnF5
1.0
-3.982 -3.260 -0.373
1.455 1.285 5.430
-2.558 7.187 -1.896
Li Mn F
6 2 10
Cartesian
-4.400 4.915 0.497
-1.780 5.244 3.782
-3.707 -0.183 2.117
-1.376 5.395 1.044
-3.304 -0.033 -0.621
-0.684 0.296 2.664
0.000 0.000 0.000
-2.542 2.606 1.580
-4.193 1.675 2.466
-2.280 -0.531 3.485
-3.826 3.133 -0.041
-3.209 -1.967 1.073
-1.998 0.633 0.750
-1.875 7.178 2.088
-1.258 2.078 3.202
-2.804 5.743 -0.324
-0.891 3.536 0.695
-3.086 4.579 2.411
```

ρ = 2.89 g/cm³
Crystal system = triclinic



--- two ---
Li3MnF5: optimized geometry, PBE+U.

Structure (POSCAR):
```
Li3MnF5
1.0
-1.689 5.248 1.764
-2.339 -2.348 4.746
9.751 1.306 5.452
Li Mn F
12 4 20
Cartesian
2.693 0.155 2.580
7.345 0.768 6.321
4.597 0.912 5.848
-1.878 -1.325 5.308
3.116 0.351 8.184
0.991 0.971 6.483
6.990 3.537 6.741
-0.387 3.454 2.103
4.097 5.062 4.695
-1.492 2.943 4.650
0.260 3.690 6.692
4.402 4.235 10.149
-0.235 0.528 3.586
6.197 2.040 9.124
2.293 2.537 4.385
3.850 3.396 7.196
-0.808 4.699 3.683
-0.116 -1.506 4.618
7.803 0.699 8.283
3.717 1.743 2.786
1.728 0.355 4.494
8.238 2.406 5.458
1.036 2.131 2.639
5.864 1.906 6.955
-1.597 2.089 2.852
-1.903 0.816 5.078
4.322 2.948 5.036
2.861 1.520 6.617
0.276 2.356 5.240
4.016 1.985 8.947
0.313 2.179 8.085
5.566 4.062 8.346
5.410 2.919 11.078
2.125 4.070 6.029
4.367 5.515 6.520
4.483 -0.767 7.133
```

ρ = 3.01 g/cm³
Crystal system = tetragonal



Tell me which of them is the least stable. Sure, it is two.



--- one ---
Li5MnO3F: optimized geometry, PBE+U.

Structure (POSCAR):
```
Li5MnO3F
1.0
-3.500 2.230 -2.303
2.737 6.134 -0.962
6.248 -5.492 -10.599
Li Mn O F
20 4 12 4
Cartesian
0.279 3.290 -4.705
5.049 -0.577 -8.890
3.984 2.897 -5.138
5.462 1.271 -11.551
2.563 5.630 -4.913
7.400 1.739 -9.161
2.316 3.948 -2.483
3.674 2.276 -8.980
1.700 0.556 -4.929
3.111 -1.045 -11.280
1.947 2.239 -7.359
6.837 -1.582 -11.460
0.701 5.590 -3.180
5.553 1.666 -7.418
-0.109 1.123 -6.392
4.797 -2.790 -10.506
-1.289 4.521 -2.424
3.563 0.597 -6.662
-1.865 1.159 -4.792
2.977 -2.651 -8.974
1.467 0.066 -8.931
2.808 -3.275 -12.851
-0.064 1.752 -2.438
1.590 -1.700 -6.443
2.644 5.816 -2.872
3.958 4.248 -9.532
1.620 0.371 -6.970
6.553 -3.554 -10.909
0.027 1.364 -4.483
4.863 -2.487 -8.547
0.419 3.732 -2.793
1.781 1.965 -9.285
-1.018 6.452 -2.860
3.845 2.455 -7.049
1.499 -1.312 -4.397
2.911 -2.953 -10.932
0.597 5.316 -5.249
5.433 1.482 -9.458
3.666 0.871 -4.592
5.079 -0.787 -10.984
```

ρ = 2.48 g/cm³
Crystal system = triclinic



--- two ---
Li5MnO3F: optimized geometry, PBE+U.

Structure (POSCAR):
```
Li5MnO3F
1.0
5.509 4.932 1.514
5.508 -4.930 1.514
1.833 -4.931 -7.567
Li Mn O F
20 4 12 4
Cartesian
5.524 -4.930 -4.333
7.362 0.001 0.207
3.655 0.000 -0.206
7.326 0.001 -3.232
9.139 -2.188 -4.547
5.467 -2.188 -1.520
9.220 -2.188 -1.505
5.549 -2.188 1.522
3.711 -2.742 -3.019
5.549 2.190 1.522
3.630 -2.742 -6.061
5.468 2.189 -1.520
11.021 -2.756 -2.961
7.350 -2.755 0.065
5.513 -2.173 -4.475
1.841 -2.174 -1.449
7.337 -7.104 -3.090
9.175 -2.173 1.451
7.337 -2.756 -3.090
3.666 -2.757 -0.064
9.205 -4.930 -4.569
7.319 0.001 -6.021
5.532 -4.930 -1.544
3.641 0.000 -2.995
9.179 -3.446 -3.026
5.508 -3.446 0.001
3.670 -1.484 -4.540
5.509 3.447 0.001
5.525 -3.459 -3.029
7.363 1.472 1.511
5.525 -6.402 -3.029
7.362 -1.470 1.511
7.325 -8.390 -4.536
9.162 -3.458 0.004
7.325 -1.470 -4.537
3.653 -1.471 -1.510
5.505 -6.353 -6.053
7.343 -1.421 -1.513
5.506 -3.507 -6.053
7.344 1.423 -1.512
```

ρ = 2.37 g/cm³



--- three ---
Li5MnO3F: optimized geometry, PBE+U.

Structure (POSCAR):
```
Li5MnO3F
1.0
6.355 0.000 0.000
0.000 7.035 0.000
0.000 0.000 9.510
Li Mn O F
20 4 12 4
Cartesian
0.004 6.509 3.642
3.220 6.750 3.576
6.312 6.750 8.331
3.174 6.509 8.397
1.550 5.276 1.015
1.627 5.276 5.770
0.004 4.043 3.642
3.220 3.802 3.576
6.312 3.802 8.331
3.174 4.043 8.397
0.043 3.233 1.179
6.351 2.992 5.869
3.181 2.992 1.113
3.135 3.233 5.934
4.727 1.759 3.740
4.805 1.759 8.495
6.351 0.525 5.869
0.043 0.284 1.179
3.135 0.284 5.934
3.181 0.525 1.113
4.806 5.276 0.924
4.726 5.276 5.679
1.629 1.759 3.831
1.549 1.759 8.586
4.738 0.033 9.500
4.794 0.033 4.744
0.009 5.276 2.177
3.168 5.276 6.932
4.738 3.484 9.500
4.794 3.484 4.744
1.617 3.551 0.011
1.560 3.551 4.766
6.346 1.759 7.333
3.186 1.759 2.578
1.560 7.001 4.766
1.617 7.001 0.011
0.060 5.276 7.054
3.117 5.276 2.299
6.294 1.759 2.456
3.238 1.759 7.211
```

ρ = 2.45 g/cm³
Crystal system = orthorhombic



Tell me which of them is the least stable. Sure, it is three.



--- one ---
Li5MnO3F: optimized geometry, PBE+U.

Structure (POSCAR):
```
Li5MnO3F
1.0
3.702 0.000 -2.964
-1.841 -4.810 -4.433
-1.841 4.810 -4.433
Li Mn O F
10 2 6 2
Cartesian
0.029 0.000 -5.747
-0.103 0.000 -9.025
-1.874 -2.064 -7.407
-1.796 -2.096 -4.419
-1.796 2.096 -4.420
-1.874 2.065 -7.407
0.006 -2.805 -5.842
0.006 2.805 -5.842
1.847 -2.090 -4.507
1.847 2.090 -4.507
3.645 0.000 -2.934
0.237 0.000 -3.005
-1.877 -3.411 -5.834
-1.877 3.411 -5.834
0.032 1.474 -4.456
0.032 -1.474 -4.456
1.844 -3.437 -5.977
1.844 3.437 -5.977
0.010 -1.385 -7.397
0.010 1.385 -7.397
```

ρ = 2.47 g/cm³
Crystal system = monoclinic



--- two ---
Li5MnO3F: optimized geometry, PBE+U.

Structure (POSCAR):
```
Li5MnO3F
1.0
4.751 0.000 0.000
0.037 6.703 0.000
0.033 0.019 6.713
Li Mn O F
10 2 6 2
Cartesian
4.566 2.045 1.661
0.210 3.648 6.569
2.626 3.421 6.560
2.690 5.473 1.356
0.118 2.043 4.703
2.482 1.554 5.186
2.228 0.322 3.170
4.563 0.063 3.210
4.704 4.849 4.544
2.336 5.396 5.025
4.692 0.099 6.465
2.499 3.454 3.241
3.899 1.976 6.519
3.554 1.735 3.307
3.660 5.085 6.422
1.376 3.523 4.986
3.311 5.331 3.210
1.077 0.189 4.747
1.335 3.472 1.375
1.045 0.183 1.655
```

ρ = 2.43 g/cm³
Crystal system = triclinic



Tell me which of them is the least stable. Sure, it is one.



--- one ---
LiMn3O4F2: optimized geometry, PBE+U.

Structure (POSCAR):
```
LiMn3O4F2
1.0
-0.391 -5.040 0.552
5.004 2.047 1.213
-3.046 -2.020 3.848
Li Mn O F
1 3 4 2
Cartesian
2.385 -2.523 3.852
1.694 -0.193 1.190
-0.827 -2.479 1.640
-0.349 -4.865 4.351
-0.043 -0.798 2.156
2.774 -1.646 2.050
0.905 -3.514 1.012
-1.173 -3.190 3.388
0.930 -1.547 4.826
1.541 -4.305 3.597
```

ρ = 4.15 g/cm³
Crystal system = triclinic



--- two ---
LiMn3O4F2: optimized geometry, PBE+U.

Structure (POSCAR):
```
LiMn3O4F2
1.0
5.264 0.269 -0.190
-2.743 1.138 4.730
2.392 -4.307 0.092
Li Mn O F
1 3 4 2
Cartesian
4.978 -3.103 2.869
-0.069 -0.087 2.089
2.524 -1.234 0.132
2.439 -1.530 4.496
0.745 -1.414 0.920
1.316 -0.272 3.518
1.617 -3.145 3.631
3.481 0.391 1.024
3.320 -2.700 1.174
4.215 -1.401 3.306
```

ρ = 4.16 g/cm³
Crystal system = triclinic



Tell me which of them is the least stable. Sure, it is one.



--- one ---
LiMnOF2: optimized geometry, PBE+U.

Structure (POSCAR):
```
LiMnOF2
1.0
4.402 0.712 -2.968
-4.432 -2.206 -2.261
1.266 4.547 -1.866
Li Mn O F
2 2 2 4
Cartesian
0.845 1.562 -2.823
1.799 3.137 -6.579
3.217 3.399 -4.034
-1.811 -0.329 -2.765
-2.790 -1.826 -3.377
-1.080 1.370 -2.418
0.820 2.958 -1.267
-1.068 -0.163 -4.685
1.170 3.119 -4.079
1.651 0.181 -3.942
```

ρ = 3.60 g/cm³
Crystal system = triclinic
Maximum piezoelectric response = 0.558 C/m2



--- two ---
LiMnOF2: optimized geometry, PBE+U.

Structure (POSCAR):
```
LiMnOF2
1.0
-4.546 -2.602 -0.025
5.059 -8.408 1.596
-3.178 0.624 4.005
Li Mn O F
4 4 4 8
Cartesian
1.072 -7.123 1.525
0.913 -6.365 4.694
-3.579 -4.020 0.881
-3.737 -3.262 4.050
-2.458 -0.816 1.284
-0.316 -4.096 3.355
-0.207 -9.569 4.291
-2.349 -6.289 2.220
0.396 -3.398 1.760
-2.337 -2.486 0.414
-0.329 -7.899 5.161
-3.062 -6.987 3.815
2.350 -5.568 1.078
2.312 -7.355 3.556
-0.433 -6.262 2.679
-3.011 -1.405 3.085
0.346 -8.981 2.490
-2.233 -4.124 2.896
-4.978 -3.031 2.019
-5.016 -4.817 4.497
```

ρ = 3.43 g/cm³
Crystal system = triclinic



--- three ---
LiMnOF2: optimized geometry, PBE+U.

Structure (POSCAR):
```
LiMnOF2
1.0
-2.331 -0.644 2.784
-5.381 -5.960 -5.885
3.823 -5.333 1.967
Li Mn O F
4 4 4 8
Cartesian
-3.097 -7.210 -3.040
-0.821 -9.479 -1.659
-3.068 -2.458 0.526
-0.792 -4.727 1.907
-1.850 -4.799 -1.438
2.491 -4.779 2.201
-6.380 -7.159 -3.334
-2.039 -7.139 0.305
-5.268 -6.218 -4.628
-1.359 -6.681 -1.463
-2.529 -5.256 0.330
1.379 -5.719 3.495
-2.100 -2.933 -1.216
1.037 -4.253 1.105
-3.308 -5.244 -2.762
-2.368 -8.980 -2.840
-1.521 -2.957 1.706
-0.580 -6.693 1.629
-4.925 -7.684 -2.238
-1.789 -9.005 0.083
```

ρ = 3.06 g/cm³
Crystal system = monoclinic



Tell me which of them is the least stable. Sure, it is one.